# 1
The following is a meta-GGA r2SCAN calculation of a relaxed structure of NdAl10Ru2, from the Materials Project.

a = 6.8397 Å, b = 6.8397 Å, c = 9.1351 Å
α = 90.00°, β = 90.00°, γ = 96.97°
Sites, in units of the cell vectors:
Nd 0.1239 0.8761 0.7500
Nd 0.8761 0.1239 0.2500
Al 0.1388 0.4088 0.7500
Al 0.1612 0.8388 0.1015
Al 0.1612 0.8388 0.3985
Al 0.2200 0.4823 0.2500
Al 0.2287 0.2287 0.0000
Al 0.2287 0.2287 0.5000
Al 0.3772 0.6228 0.5505
Al 0.3772 0.6228 0.9495
Al 0.4088 0.1388 0.2500
Al 0.4823 0.2200 0.7500
Al 0.5177 0.7800 0.2500
Al 0.5912 0.8612 0.7500
Al 0.6228 0.3772 0.0505
Al 0.6228 0.3772 0.4495
Al 0.7713 0.7713 0.0000
Al 0.7713 0.7713 0.5000
Al 0.7800 0.5177 0.7500
Al 0.8388 0.1612 0.6015
Al 0.8388 0.1612 0.8985
Al 0.8612 0.5912 0.2500
Ru 0.0000 0.5000 0.0000
Ru 0.0000 0.5000 0.5000
Ru 0.5000 0.0000 0.0000
Ru 0.5000 0.0000 0.5000

Results
Energy of formation (eV per atom): -0.568
VASP energy (eV/cell): -309.94


# 2
The following is a meta-GGA r2SCAN calculation of a relaxed structure of Sr7Nb6O21, from the Materials Project.

a = 16.6075 Å, b = 16.6075 Å, c = 16.6075 Å
α = 19.82°, β = 19.82°, γ = 19.82°
Sites, in units of the cell vectors:
Sr 0.0000 0.0000 0.0000
Sr 0.1527 0.1527 0.1527
Sr 0.2323 0.2323 0.2323
Sr 0.3840 0.3840 0.3840
Sr 0.6160 0.6160 0.6160
Sr 0.7677 0.7677 0.7677
Sr 0.8473 0.8473 0.8473
Nb 0.0729 0.0729 0.0729
Nb 0.3094 0.3094 0.3094
Nb 0.4571 0.4571 0.4571
Nb 0.5429 0.5429 0.5429
Nb 0.6906 0.6906 0.6906
Nb 0.9271 0.9271 0.9271
O 0.0000 0.5000 0.5000
O 0.0908 0.1421 0.6255
O 0.1402 0.7066 0.5752
O 0.1421 0.6255 0.0908
O 0.2188 0.3082 0.7541
O 0.2459 0.7812 0.6918
O 0.2934 0.4248 0.8598
O 0.3082 0.7541 0.2188
O 0.3745 0.9092 0.8579
O 0.4248 0.8598 0.2934
O 0.5000 0.0000 0.5000
O 0.5000 0.5000 0.0000
O 0.5752 0.1402 0.7066
O 0.6255 0.0908 0.1421
O 0.6918 0.2459 0.7812
O 0.7066 0.5752 0.1402
O 0.7541 0.2188 0.3082
O 0.7812 0.6918 0.2459
O 0.8579 0.3745 0.9092
O 0.8598 0.2934 0.4248
O 0.9092 0.8579 0.3745

Results
Energy of formation (eV per atom): -3.089
VASP energy (eV/cell): -484.86


# 3
The following is a meta-GGA r2SCAN calculation of a relaxed structure of TiC, from the Materials Project.

a = 4.3314 Å, b = 4.3314 Å, c = 4.3314 Å
α = 90.00°, β = 90.00°, γ = 90.00°
Sites, in units of the cell vectors:
Ti 0.0000 0.0000 0.0000
Ti 0.0000 0.5000 0.5000
Ti 0.5000 0.0000 0.5000
Ti 0.5000 0.5000 0.0000
C 0.0000 0.0000 0.5000
C 0.0000 0.5000 0.0000
C 0.5000 0.0000 0.0000
C 0.5000 0.5000 0.5000

Results
Energy of formation (eV per atom): -0.965
VASP energy (eV/cell): -99.26


# 4
The following is a meta-GGA r2SCAN calculation of a relaxed structure of Hg2Mo2O7, from the Materials Project.

a = 6.0332 Å, b = 3.9727 Å, c = 14.4488 Å
α = 90.00°, β = 104.63°, γ = 90.00°
Sites, in units of the cell vectors:
Hg 0.1453 0.1647 0.0637
Hg 0.1453 0.8353 0.5637
Hg 0.8547 0.1647 0.4363
Hg 0.8547 0.8353 0.9363
Mo 0.3106 0.4647 0.8155
Mo 0.3106 0.5353 0.3155
Mo 0.6894 0.4647 0.6845
Mo 0.6894 0.5353 0.1845
O 0.0000 0.4574 0.2500
O 0.0000 0.5426 0.7500
O 0.2940 0.4747 0.4307
O 0.2940 0.5253 0.9307
O 0.3098 0.0290 0.8039
O 0.3098 0.9710 0.3039
O 0.3657 0.4685 0.1688
O 0.3657 0.5315 0.6688
O 0.6343 0.4685 0.3312
O 0.6343 0.5315 0.8312
O 0.6902 0.0290 0.6961
O 0.6902 0.9710 0.1961
O 0.7060 0.4747 0.0693
O 0.7060 0.5253 0.5693

Results
Energy of formation (eV per atom): -1.649
Offset from the most stable computed form (eV/atom): 0.003
VASP energy (eV/cell): -421.65


# 5
The following is a meta-GGA r2SCAN calculation of a relaxed structure of Ti19O30, from the Materials Project.

a = 5.0780 Å, b = 5.4604 Å, c = 21.0509 Å
α = 94.43°, β = 90.02°, γ = 117.66°
Sites, in units of the cell vectors:
Ti 0.0000 0.0000 0.0000
Ti 0.0298 0.0622 0.8603
Ti 0.0962 0.1966 0.2963
Ti 0.1230 0.2734 0.1636
Ti 0.1964 0.3967 0.5974
Ti 0.2298 0.4619 0.4587
Ti 0.2986 0.5987 0.8998
Ti 0.3303 0.6624 0.7602
Ti 0.4292 0.8560 0.0659
Ti 0.4952 0.9991 0.4970
Ti 0.5297 0.0492 0.3564
Ti 0.5961 0.1952 0.7981
Ti 0.6302 0.2635 0.6596
Ti 0.7005 0.3987 0.0984
Ti 0.7308 0.4611 0.9597
Ti 0.7971 0.5971 0.3950
Ti 0.8268 0.6647 0.2523
Ti 0.8961 0.7953 0.6976
Ti 0.9289 0.8630 0.5586
O 0.0459 0.4455 0.2426
O 0.0481 0.7306 0.4779
O 0.0973 0.8629 0.3397
O 0.1143 0.9973 0.2140
O 0.1244 0.5851 0.1117
O 0.1784 0.7295 0.9799
O 0.2539 0.1374 0.0790
O 0.2754 0.8663 0.8420
O 0.2888 0.2653 0.9417
O 0.3378 0.9919 0.7161
O 0.3516 0.3924 0.8167
O 0.3771 0.1304 0.5787
O 0.4479 0.5292 0.6788
O 0.4787 0.2687 0.4402
O 0.4872 0.6680 0.5410
O 0.5366 0.3829 0.3148
O 0.5558 0.7937 0.4168
O 0.5710 0.5031 0.1767
O 0.6618 0.9092 0.2873
O 0.6755 0.6660 0.0405
O 0.7206 0.0757 0.1335
O 0.7410 0.1863 0.0144
O 0.7411 0.7931 0.9165
O 0.7780 0.9288 0.7787
O 0.8509 0.3302 0.8785
O 0.8749 0.0664 0.6412
O 0.8889 0.4661 0.7415
O 0.9374 0.1941 0.5158
O 0.9513 0.5931 0.6156
O 0.9779 0.3301 0.3786

Results
Energy of formation (eV per atom): -3.174
VASP energy (eV/cell): -580.53


# 6
The following is a meta-GGA r2SCAN calculation of a relaxed structure of GdSnPd, from the Materials Project.

a = 7.3131 Å, b = 4.6501 Å, c = 7.9547 Å
α = 90.00°, β = 90.00°, γ = 90.00°
Sites, in units of the cell vectors:
Gd 0.0106 0.2500 0.2045
Gd 0.4894 0.7500 0.7045
Gd 0.5106 0.2500 0.2955
Gd 0.9894 0.7500 0.7955
Sn 0.1915 0.2500 0.5874
Sn 0.3085 0.7500 0.0874
Sn 0.6915 0.2500 0.9126
Sn 0.8085 0.7500 0.4126
Pd 0.2029 0.7500 0.4157
Pd 0.2971 0.2500 0.9157
Pd 0.7029 0.7500 0.0843
Pd 0.7971 0.2500 0.5843

Results
Energy of formation (eV per atom): -0.938
VASP energy (eV/cell): -375.67


# 7
The following is a meta-GGA r2SCAN calculation of a relaxed structure of DyMg2, from the Materials Project.

a = 6.0095 Å, b = 6.0095 Å, c = 6.0095 Å
α = 60.00°, β = 60.00°, γ = 60.00°
Sites, in units of the cell vectors:
Dy 0.1250 0.1250 0.1250
Dy 0.8750 0.8750 0.8750
Mg 0.0000 0.5000 0.5000
Mg 0.5000 0.0000 0.5000
Mg 0.5000 0.5000 0.0000
Mg 0.5000 0.5000 0.5000

Results
Energy of formation (eV per atom): -0.089
VASP energy (eV/cell): -81.17


# 8
The following is a meta-GGA r2SCAN calculation of a relaxed structure of Ca2MgPd2, from the Materials Project.

a = 4.3185 Å, b = 5.9011 Å, c = 8.9092 Å
α = 90.00°, β = 90.00°, γ = 90.00°
Sites, in units of the cell vectors:
Ca 0.0000 0.0000 0.1993
Ca 0.0000 0.0000 0.8007
Ca 0.5000 0.5000 0.3007
Ca 0.5000 0.5000 0.6993
Mg 0.0000 0.5000 0.0000
Mg 0.5000 0.0000 0.5000
Pd 0.0000 0.2648 0.5000
Pd 0.0000 0.7352 0.5000
Pd 0.5000 0.2352 0.0000
Pd 0.5000 0.7648 0.0000

Results
Energy of formation (eV per atom): -0.651
VASP energy (eV/cell): -134.85


# 9
The following is a meta-GGA r2SCAN calculation of a relaxed structure of ThSi2Pd2, from the Materials Project.

a = 4.2218 Å, b = 4.2218 Å, c = 10.0176 Å
α = 90.00°, β = 90.00°, γ = 90.00°
Sites, in units of the cell vectors:
Th 0.0000 0.0000 0.0000
Th 0.5000 0.5000 0.5000
Si 0.0000 0.0000 0.3817
Si 0.0000 0.0000 0.6183
Si 0.5000 0.5000 0.1183
Si 0.5000 0.5000 0.8817
Pd 0.0000 0.5000 0.2500
Pd 0.0000 0.5000 0.7500
Pd 0.5000 0.0000 0.2500
Pd 0.5000 0.0000 0.7500

Results
Energy of formation (eV per atom): -0.965
VASP energy (eV/cell): -283.54


# 10
The following is a meta-GGA r2SCAN calculation of a relaxed structure of CeAu6, from the Materials Project.

a = 5.5642 Å, b = 5.5642 Å, c = 9.1423 Å
α = 96.89°, β = 96.89°, γ = 89.79°
Sites, in units of the cell vectors:
Ce 0.1866 0.8134 0.7500
Ce 0.8134 0.1866 0.2500
Au 0.0401 0.6680 0.1262
Au 0.1126 0.2818 0.5808
Au 0.2818 0.1126 0.0808
Au 0.3320 0.9599 0.3738
Au 0.3412 0.4581 0.3625
Au 0.4581 0.3412 0.8625
Au 0.5419 0.6588 0.1375
Au 0.6588 0.5419 0.6375
Au 0.6680 0.0401 0.6262
Au 0.7182 0.8874 0.9192
Au 0.8874 0.7182 0.4192
Au 0.9599 0.3320 0.8738

Results
Energy of formation (eV per atom): -0.460
VASP energy (eV/cell): -675.14


# 11
The following is a meta-GGA r2SCAN calculation of a relaxed structure of SrI2O6, from the Materials Project.

a = 7.3783 Å, b = 11.5694 Å, c = 9.0068 Å
α = 90.00°, β = 126.82°, γ = 90.00°
Sites, in units of the cell vectors:
Sr 0.2414 0.0948 0.2339
Sr 0.2414 0.4052 0.7339
Sr 0.7586 0.5948 0.2661
Sr 0.7586 0.9052 0.7661
I 0.2526 0.0752 0.7824
I 0.2526 0.4248 0.2824
I 0.3020 0.7170 0.7570
I 0.3020 0.7830 0.2570
I 0.6980 0.2170 0.7430
I 0.6980 0.2830 0.2430
I 0.7474 0.5752 0.7176
I 0.7474 0.9248 0.2176
O 0.0486 0.5388 0.2115
O 0.0486 0.9612 0.7115
O 0.0721 0.2013 0.6945
O 0.0721 0.2987 0.1945
O 0.1069 0.6108 0.5905
O 0.1069 0.8892 0.0905
O 0.3871 0.0925 0.0298
O 0.3871 0.4075 0.5298
O 0.4382 0.7423 0.1517
O 0.4382 0.7577 0.6517
O 0.4956 0.1098 0.5824
O 0.4956 0.3902 0.0824
O 0.5044 0.6098 0.9176
O 0.5044 0.8902 0.4176
O 0.5618 0.2423 0.3483
O 0.5618 0.2577 0.8483
O 0.6129 0.5925 0.4702
O 0.6129 0.9075 0.9702
O 0.8931 0.1108 0.9095
O 0.8931 0.3892 0.4095
O 0.9279 0.7013 0.8055
O 0.9279 0.7987 0.3055
O 0.9514 0.0388 0.2885
O 0.9514 0.4612 0.7885

Results
Energy of formation (eV per atom): -1.167
Offset from the most stable computed form (eV/atom): 0.003
VASP energy (eV/cell): -442.41


# 12
The following is a meta-GGA r2SCAN calculation of a relaxed structure of Sm4CdNi, from the Materials Project.

a = 9.7011 Å, b = 9.7011 Å, c = 9.7011 Å
α = 60.00°, β = 60.00°, γ = 60.00°
Sites, in units of the cell vectors:
Sm 0.1869 0.1869 0.8131
Sm 0.1869 0.8131 0.1869
Sm 0.1869 0.8131 0.8131
Sm 0.4019 0.4019 0.4019
Sm 0.4019 0.4019 0.7944
Sm 0.4019 0.7944 0.4019
Sm 0.5596 0.5596 0.9404
Sm 0.5596 0.9404 0.5596
Sm 0.5596 0.9404 0.9404
Sm 0.7944 0.4019 0.4019
Sm 0.8131 0.1869 0.1869
Sm 0.8131 0.1869 0.8131
Sm 0.8131 0.8131 0.1869
Sm 0.9404 0.5596 0.5596
Sm 0.9404 0.5596 0.9404
Sm 0.9404 0.9404 0.5596
Cd 0.1702 0.1702 0.1702
Cd 0.1702 0.1702 0.4894
Cd 0.1702 0.4894 0.1702
Cd 0.4894 0.1702 0.1702
Ni 0.1771 0.6076 0.6076
Ni 0.6076 0.1771 0.6076
Ni 0.6076 0.6076 0.1771
Ni 0.6076 0.6076 0.6076

Results
Energy of formation (eV per atom): -0.279
VASP energy (eV/cell): -610.78


# 13
The following is a meta-GGA r2SCAN calculation of a relaxed structure of La2ThSe5, from the Materials Project.

a = 12.6850 Å, b = 8.6962 Å, c = 7.9803 Å
α = 90.00°, β = 90.00°, γ = 90.00°
Sites, in units of the cell vectors:
La 0.1775 0.0001 0.0244
La 0.1775 0.4999 0.0244
La 0.3225 0.9999 0.5244
La 0.3225 0.5001 0.5244
La 0.6775 0.0001 0.4756
La 0.6775 0.4999 0.4756
La 0.8225 0.9999 0.9756
La 0.8225 0.5001 0.9756
Th 0.0084 0.2500 0.5744
Th 0.4916 0.7500 0.0744
Th 0.5084 0.2500 0.9256
Th 0.9916 0.7500 0.4256
Se 0.0015 0.2500 0.9566
Se 0.0970 0.5423 0.6652
Se 0.0970 0.9577 0.6652
Se 0.1868 0.2500 0.3317
Se 0.2159 0.7500 0.3049
Se 0.2841 0.2500 0.8049
Se 0.3132 0.7500 0.8317
Se 0.4030 0.0423 0.1652
Se 0.4030 0.4577 0.1652
Se 0.4985 0.7500 0.4566
Se 0.5015 0.2500 0.5434
Se 0.5970 0.5423 0.8348
Se 0.5970 0.9577 0.8348
Se 0.6868 0.2500 0.1683
Se 0.7159 0.7500 0.1951
Se 0.7841 0.2500 0.6951
Se 0.8132 0.7500 0.6683
Se 0.9030 0.0423 0.3348
Se 0.9030 0.4577 0.3348
Se 0.9985 0.7500 0.0434

Results
Energy of formation (eV per atom): -2.272
VASP energy (eV/cell): -890.80